VASP calculation (GGA+U) on a relaxed structure of MoPbSeO6.

a = 7.062 Å, b = 7.332 Å, c = 11.099 Å
α = 99.35°, β = 100.10°, γ = 89.79°
Fractional positions:
Mo 0.159 0.953 0.801
Mo 0.841 0.047 0.199
Mo 0.159 0.450 0.797
Mo 0.841 0.550 0.203
Pb 0.751 0.861 0.506
Pb 0.249 0.139 0.494
Pb 0.649 0.711 0.841
Pb 0.351 0.289 0.159
Se 0.291 0.641 0.534
Se 0.709 0.359 0.466
Se 0.609 0.194 0.784
Se 0.391 0.806 0.216
O 0.173 0.048 0.956
O 0.827 0.952 0.044
O 0.909 0.889 0.756
O 0.091 0.111 0.244
O 0.138 0.185 0.728
O 0.862 0.815 0.272
O 0.262 0.711 0.824
O 0.738 0.289 0.176
O 0.185 0.842 0.599
O 0.815 0.158 0.401
O 0.474 0.023 0.825
O 0.526 0.977 0.175
O 0.184 0.431 0.953
O 0.816 0.569 0.047
O 0.914 0.502 0.758
O 0.086 0.498 0.242
O 0.205 0.466 0.603
O 0.795 0.534 0.397
O 0.478 0.393 0.813
O 0.522 0.607 0.187
O 0.528 0.673 0.609
O 0.472 0.327 0.391
O 0.564 0.140 0.623
O 0.436 0.860 0.377

total magnetization	0.000	μB per formula unit
formation enthalpy at 0 K	-1.698	eV/atom
space group	P-1
DFT total energy	-6.19	eV/atom
ρ	5.690	g/cm3